(1)
Below is a geometry-optimized SmCl2 structure, with properties calculated at the GGA-PBE level.

Computed properties:
E_form   -2.29 eV per atom
Total magnetic moment   1.28 Bohr magnetons per cell
E   -4.6848 eV/atom

Unit cell a=10.276 b=3.532 c=8.636 alpha=90.00 beta=90.00 gamma=90.00
Space group Pnma (No. 62)
Inequivalent atoms, fractional coordinates:
Sm: 0.176 0.250 0.118 [4 per cell]
Cl: 0.043 0.250 0.830 [4 per cell]
Cl: 0.164 0.250 0.444 [4 per cell]

---

(2)
Below is a geometry-optimized SnCl structure, with properties calculated at the GGA-PBE level.

Computed properties:
E_form   -0.81 eV per atom
Total magnetic moment   0.00 Bohr magnetons per cell
E   -3.4329 eV/atom

Unit cell a=3.4975 b=3.4975 c=10.0622 alpha=90.00 beta=90.00 gamma=120.00
Space group P6_3mc (No. 186)
Inequivalent atoms, fractional coordinates:
Sn: 0.3333 0.6667 0.0000 [2 per cell]
Cl: 0.3333 0.6667 0.7340 [2 per cell]

---

(3)
Below is a geometry-optimized Sn2W3Cl14 structure, with properties calculated at the GGA-PBE level.

Computed properties:
E_form   -1.33 eV per atom
E   -4.7097 eV/atom

Unit cell a=9.7294 b=9.7294 c=12.5254 alpha=90.00 beta=90.00 gamma=120.00
Space group P6_3 (No. 173)
Inequivalent atoms, fractional coordinates:
Sn: 0.0000 0.0000 0.0000 [2 per cell]
Sn: 0.3333 0.6667 0.0485 [2 per cell]
W: 0.1466 0.5895 0.5835 [6 per cell]
Cl: 0.0000 0.0000 0.3072 [2 per cell]
Cl: 0.0148 0.6504 0.9843 [6 per cell]
Cl: 0.0238 0.6999 0.4719 [6 per cell]
Cl: 0.0992 0.5047 0.1937 [6 per cell]
Cl: 0.2024 0.4438 0.7166 [6 per cell]
Cl: 0.3333 0.6667 0.4370 [2 per cell]